(1)
A geometry-optimized MgZn2P2O8 structure, computed with PBE.

M_tot ... 0.0 μB/cell
Energy with MP2020 corrections ... -176.8 eV for the cell shown

```
data_MgZn2P2O8
_symmetry_space_group_name_H-M 'P 1 21/c 1'
_symmetry_Int_Tables_number 14
_symmetry_space_group_name_Hall '-P 2ybc'
_cell_length_a 5.134
_cell_length_b 8.407
_cell_length_c 8.839
_cell_angle_alpha 90.00
_cell_angle_beta 120.06
_cell_angle_gamma 90.00
loop_
_atom_site_label
_atom_site_fract_x
_atom_site_fract_y
_atom_site_fract_z
_atom_site_occupancy
Mg1 0.000 0.000 0.000 1
Zn1 0.036 0.138 0.620 1
P1 0.337 0.692 0.301 1
O1 0.182 0.641 0.743 1
O2 0.207 0.579 0.138 1
O3 0.258 0.628 0.436 1
O4 0.318 0.200 0.120 1
```


(2)
A geometry-optimized MgRePb2O6 structure, computed with PBE.

M_tot ... 2.1 μB/cell
Energy with MP2020 corrections ... -285.9 eV for the cell shown

```
data_MgRePb2O6
_symmetry_space_group_name_H-M 'F m -3 m'
_symmetry_Int_Tables_number 225
_symmetry_space_group_name_Hall '-F 4 2 3'
_cell_length_a 8.036
_cell_length_b 8.036
_cell_length_c 8.036
_cell_angle_alpha 90.00
_cell_angle_beta 90.00
_cell_angle_gamma 90.00
loop_
_atom_site_label
_atom_site_fract_x
_atom_site_fract_y
_atom_site_fract_z
_atom_site_occupancy
Mg1 0.000 0.000 0.000 1
Re1 0.000 0.000 0.500 1
Pb1 0.250 0.250 0.250 1
O1 0.000 0.000 0.259 1
```


(3)
A geometry-optimized Mg5PbS6O24 structure, computed with PBE.

M_tot ... 0.0 μB/cell
Energy with MP2020 corrections ... -717.7 eV for the cell shown

```
data_Mg5PbS6O24
_symmetry_space_group_name_H-M 'P -3'
_symmetry_Int_Tables_number 147
_symmetry_space_group_name_Hall '-P 3'
_cell_length_a 14.5545
_cell_length_b 14.5545
_cell_length_c 7.3643
_cell_angle_alpha 90.00
_cell_angle_beta 90.00
_cell_angle_gamma 120.00
loop_
_atom_site_label
_atom_site_fract_x
_atom_site_fract_y
_atom_site_fract_z
_atom_site_occupancy
Mg1 0.0000 0.0000 0.0000 1
Mg2 0.0025 0.3225 0.4489 1
Mg3 0.0025 0.6560 0.9580 1
Mg4 0.3333 0.6667 0.4981 1
Pb1 0.0000 0.0000 0.5000 1
Pb2 0.3333 0.6667 0.9997 1
S1 0.0966 0.2286 0.7590 1
S2 0.1055 0.5359 0.7382 1
S3 0.2040 0.7654 0.2587 1
O1 0.0306 0.5785 0.7441 1
O2 0.0432 0.2608 0.8916 1
O3 0.0429 0.9222 0.8037 1
O4 0.0551 0.2258 0.5726 1
O5 0.0765 0.4566 0.5955 1
O6 0.0892 0.7859 0.7602 1
O7 0.1047 0.4907 0.9203 1
O8 0.1174 0.3646 0.2405 1
O9 0.1308 0.7250 0.4122 1
O10 0.1522 0.7115 0.0856 1
O11 0.2141 0.6270 0.7016 1
O12 0.2522 0.5474 0.2941 1
```


(4)
A geometry-optimized MgTePb2O6 structure, computed with PBE.

M_tot ... 0.0 μB/cell
Energy with MP2020 corrections ... -241.9 eV for the cell shown

```
data_MgTePb2O6
_symmetry_space_group_name_H-M 'F m -3 m'
_symmetry_Int_Tables_number 225
_symmetry_space_group_name_Hall '-F 4 2 3'
_cell_length_a 8.076
_cell_length_b 8.076
_cell_length_c 8.076
_cell_angle_alpha 90.00
_cell_angle_beta 90.00
_cell_angle_gamma 90.00
loop_
_atom_site_label
_atom_site_fract_x
_atom_site_fract_y
_atom_site_fract_z
_atom_site_occupancy
Mg1 0.000 0.000 0.000 1
Te1 0.000 0.000 0.500 1
Pb1 0.250 0.250 0.250 1
O1 0.000 0.000 0.259 1
```


(5)
A geometry-optimized MgTePb2O6 structure, computed with PBE.

M_tot ... 0.0 μB/cell
Energy with MP2020 corrections ... -60.5 eV for the cell shown

```
data_MgTePb2O6
_symmetry_space_group_name_H-M 'P 1'
_symmetry_Int_Tables_number 1
_symmetry_space_group_name_Hall 'P 1'
_cell_length_a 5.709
_cell_length_b 5.710
_cell_length_c 5.714
_cell_angle_alpha 60.14
_cell_angle_beta 60.15
_cell_angle_gamma 60.08
loop_
_atom_site_label
_atom_site_fract_x
_atom_site_fract_y
_atom_site_fract_z
_atom_site_occupancy
Mg1 0.000 0.000 0.000 1
Te1 0.506 0.500 0.497 1
Pb1 0.234 0.258 0.260 1
Pb2 0.738 0.743 0.754 1
O1 0.262 0.743 0.735 1
O2 0.268 0.257 0.724 1
O3 0.281 0.739 0.240 1
O4 0.743 0.264 0.741 1
O5 0.752 0.735 0.269 1
O6 0.762 0.262 0.254 1
```


(6)
A geometry-optimized MgTiPbO3 structure, computed with PBE.

M_tot ... 0.0 μB/cell
Energy with MP2020 corrections ... -84.5 eV for the cell shown

```
data_MgTiPbO3
_symmetry_space_group_name_H-M 'C 1 m 1'
_symmetry_Int_Tables_number 8
_symmetry_space_group_name_Hall 'C -2y'
_cell_length_a 5.387
_cell_length_b 5.435
_cell_length_c 6.077
_cell_angle_alpha 90.00
_cell_angle_beta 113.49
_cell_angle_gamma 90.00
loop_
_atom_site_label
_atom_site_fract_x
_atom_site_fract_y
_atom_site_fract_z
_atom_site_occupancy
Mg1 0.000 0.000 0.000 1
Ti1 0.101 0.500 0.268 1
Pb1 0.341 0.000 0.637 1
O1 0.317 0.253 0.143 1
O2 0.329 0.500 0.619 1
```


(7)
A geometry-optimized MgTiPbO3 structure, computed with PBE.

M_tot ... 0.0 μB/cell
Energy with MP2020 corrections ... -42.3 eV for the cell shown

```
data_MgTiPbO3
_symmetry_space_group_name_H-M 'P 4 m m'
_symmetry_Int_Tables_number 99
_symmetry_space_group_name_Hall 'P 4 -2'
_cell_length_a 3.733
_cell_length_b 3.733
_cell_length_c 7.019
_cell_angle_alpha 90.00
_cell_angle_beta 90.00
_cell_angle_gamma 90.00
loop_
_atom_site_label
_atom_site_fract_x
_atom_site_fract_y
_atom_site_fract_z
_atom_site_occupancy
Mg1 0.000 0.000 0.000 1
Ti1 0.500 0.500 0.775 1
Pb1 0.000 0.000 0.448 1
O1 0.000 0.500 0.887 1
O2 0.500 0.500 0.515 1
```


(8)
A geometry-optimized MgTiPbO3 structure, computed with PBE.

M_tot ... 0.0 μB/cell
Energy with MP2020 corrections ... -41.8 eV for the cell shown

```
data_MgTiPbO3
_symmetry_space_group_name_H-M 'P m m 2'
_symmetry_Int_Tables_number 25
_symmetry_space_group_name_Hall 'P 2 -2'
_cell_length_a 3.496
_cell_length_b 3.892
_cell_length_c 7.453
_cell_angle_alpha 90.00
_cell_angle_beta 90.00
_cell_angle_gamma 90.00
loop_
_atom_site_label
_atom_site_fract_x
_atom_site_fract_y
_atom_site_fract_z
_atom_site_occupancy
Mg1 0.000 0.000 0.000 1
Ti1 0.000 0.500 0.293 1
Pb1 0.500 0.000 0.637 1
O1 0.000 0.000 0.276 1
O2 0.000 0.500 0.044 1
O3 0.500 0.500 0.410 1
```


(9)
A geometry-optimized PmMgO3 structure, computed with PBE.

Energy with MP2020 corrections ... -35.3 eV for the cell shown

```
data_PmMgO3
_symmetry_space_group_name_H-M 'P m -3 m'
_symmetry_Int_Tables_number 221
_symmetry_space_group_name_Hall '-P 4 2 3'
_cell_length_a 3.895
_cell_length_b 3.895
_cell_length_c 3.895
_cell_angle_alpha 90.00
_cell_angle_beta 90.00
_cell_angle_gamma 90.00
loop_
_atom_site_label
_atom_site_fract_x
_atom_site_fract_y
_atom_site_fract_z
_atom_site_occupancy
Pm1 0.000 0.000 0.000 1
Mg1 0.500 0.500 0.500 1
O1 0.000 0.500 0.500 1
```


(10)
A geometry-optimized Pr2MgPtO6 structure, computed with PBE.

M_tot ... 0.0 μB/cell
Energy with MP2020 corrections ... -150.8 eV for the cell shown

```
data_Pr2MgPtO6
_symmetry_space_group_name_H-M 'P 1 21/c 1'
_symmetry_Int_Tables_number 14
_symmetry_space_group_name_Hall '-P 2ybc'
_cell_length_a 5.548
_cell_length_b 5.770
_cell_length_c 9.665
_cell_angle_alpha 90.00
_cell_angle_beta 124.84
_cell_angle_gamma 90.00
loop_
_atom_site_label
_atom_site_fract_x
_atom_site_fract_y
_atom_site_fract_z
_atom_site_occupancy
Pr1 0.235 0.059 0.250 1
Mg1 0.500 0.000 0.000 1
Pt1 0.000 0.000 0.500 1
O1 0.146 0.206 0.948 1
O2 0.247 0.702 0.950 1
O3 0.344 0.030 0.748 1
```


(11)
A geometry-optimized Pr2MgTi2S2O5 structure, computed with PBE.

M_tot ... 3.5 μB/cell
Energy with MP2020 corrections ... -190.6 eV for the cell shown

```
data_Pr2MgTi2S2O5
_symmetry_space_group_name_H-M 'I -4 m 2'
_symmetry_Int_Tables_number 119
_symmetry_space_group_name_Hall 'I -4 -2'
_cell_length_a 3.881
_cell_length_b 3.881
_cell_length_c 28.135
_cell_angle_alpha 90.00
_cell_angle_beta 90.00
_cell_angle_gamma 90.00
loop_
_atom_site_label
_atom_site_fract_x
_atom_site_fract_y
_atom_site_fract_z
_atom_site_occupancy
Pr1 0.000 0.000 0.137 1
Mg1 0.000 0.500 0.250 1
Ti1 0.000 0.000 0.435 1
S1 0.000 0.000 0.306 1
O1 0.000 0.000 0.500 1
O2 0.000 0.500 0.089 1
O3 0.000 0.500 0.588 1
```


(12)
A geometry-optimized Pr2MgTi2S2O5 structure, computed with PBE.

M_tot ... 2.6 μB/cell
Energy with MP2020 corrections ... -189.2 eV for the cell shown

```
data_Pr2MgTi2S2O5
_symmetry_space_group_name_H-M 'I 4/m m m'
_symmetry_Int_Tables_number 139
_symmetry_space_group_name_Hall '-I 4 2'
_cell_length_a 3.983
_cell_length_b 3.983
_cell_length_c 22.814
_cell_angle_alpha 90.00
_cell_angle_beta 90.00
_cell_angle_gamma 90.00
loop_
_atom_site_label
_atom_site_fract_x
_atom_site_fract_y
_atom_site_fract_z
_atom_site_occupancy
Pr1 0.000 0.000 0.165 1
Mg1 0.000 0.000 0.000 1
Ti1 0.000 0.000 0.416 1
S1 0.000 0.000 0.298 1
O1 0.000 0.000 0.500 1
O2 0.000 0.500 0.093 1
```


(13)
A geometry-optimized PrMgSn2O6 structure, computed with PBE.

M_tot ... 0.0 μB/cell
Energy with MP2020 corrections ... -138.3 eV for the cell shown

```
data_PrMgSn2O6
_symmetry_space_group_name_H-M 'P m n 21'
_symmetry_Int_Tables_number 31
_symmetry_space_group_name_Hall 'P 2ac -2'
_cell_length_a 8.196
_cell_length_b 5.833
_cell_length_c 5.583
_cell_angle_alpha 90.00
_cell_angle_beta 90.00
_cell_angle_gamma 90.00
loop_
_atom_site_label
_atom_site_fract_x
_atom_site_fract_y
_atom_site_fract_z
_atom_site_occupancy
Pr1 0.000 0.191 0.000 1
Mg1 0.000 0.713 0.470 1
Sn1 0.249 0.743 0.985 1
O1 0.000 0.326 0.600 1
O2 0.000 0.800 0.833 1
O3 0.179 0.936 0.304 1
O4 0.180 0.452 0.185 1
```


(14)
A geometry-optimized Pr4MgTe8O22 structure, computed with PBE.

M_tot ... 0.0 μB/cell
Energy with MP2020 corrections ... -233.3 eV for the cell shown

```
data_Pr4MgTe8O22
_symmetry_space_group_name_H-M 'P 1'
_symmetry_Int_Tables_number 1
_symmetry_space_group_name_Hall 'P 1'
_cell_length_a 5.404
_cell_length_b 6.894
_cell_length_c 17.738
_cell_angle_alpha 98.48
_cell_angle_beta 92.43
_cell_angle_gamma 112.50
loop_
_atom_site_label
_atom_site_fract_x
_atom_site_fract_y
_atom_site_fract_z
_atom_site_occupancy
Pr1 0.000 0.000 0.000 1
Pr2 0.157 0.437 0.542 1
Pr3 0.315 0.612 0.068 1
Pr4 0.492 0.048 0.610 1
Mg1 0.621 0.328 0.429 1
Te1 0.069 0.223 0.761 1
Te2 0.199 0.371 0.304 1
Te3 0.362 0.812 0.852 1
Te4 0.592 0.213 0.152 1
Te5 0.715 0.397 0.919 1
Te6 0.822 0.866 0.461 1
Te7 0.824 0.643 0.692 1
Te8 0.948 0.792 0.216 1
O1 0.113 0.869 0.126 1
O2 0.114 0.719 0.630 1
O3 0.124 0.051 0.532 1
O4 0.202 0.743 0.944 1
O5 0.260 0.315 0.408 1
O6 0.344 0.520 0.811 1
O7 0.348 0.142 0.733 1
O8 0.366 0.284 0.086 1
O9 0.381 0.159 0.918 1
O10 0.535 0.757 0.523 1
O11 0.555 0.438 0.616 1
O12 0.579 0.694 0.191 1
O13 0.646 0.005 0.079 1
O14 0.669 0.610 0.991 1
O15 0.725 0.161 0.491 1
O16 0.732 0.913 0.879 1
O17 0.741 0.890 0.693 1
O18 0.907 0.609 0.458 1
O19 0.928 0.461 0.156 1
O20 0.930 0.086 0.255 1
O21 0.944 0.329 0.986 1
O22 0.961 0.308 0.671 1
```


(15)
A geometry-optimized Pr2MgTi4O12 structure, computed with PBE.

M_tot ... 0.0 μB/cell
Energy with MP2020 corrections ... -169.0 eV for the cell shown

```
data_Pr2MgTi4O12
_symmetry_space_group_name_H-M 'P 1 m 1'
_symmetry_Int_Tables_number 6
_symmetry_space_group_name_Hall 'P -2y'
_cell_length_a 5.459
_cell_length_b 7.431
_cell_length_c 6.078
_cell_angle_alpha 90.00
_cell_angle_beta 95.87
_cell_angle_gamma 90.00
loop_
_atom_site_label
_atom_site_fract_x
_atom_site_fract_y
_atom_site_fract_z
_atom_site_occupancy
Pr1 0.000 0.000 0.000 1
Pr2 0.477 0.500 0.257 1
Mg1 0.513 0.000 0.413 1
Ti1 0.017 0.247 0.453 1
Ti2 0.534 0.264 0.804 1
O1 0.068 0.500 0.401 1
O2 0.179 0.200 0.722 1
O3 0.264 0.190 0.266 1
O4 0.415 0.500 0.865 1
O5 0.588 0.000 0.766 1
O6 0.681 0.304 0.547 1
O7 0.735 0.262 0.062 1
O8 0.874 0.000 0.381 1
```